# 1
Crystalline MgCoBiO5 at its relaxed geometry. Source: the Materials Project database, functional PBE with a Hubbard U.

CIF file:
```
data_MgCoBiO5
_cell_length_a 5.352
_cell_length_b 10.553
_cell_length_c 8.283
_cell_angle_alpha 90.00
_cell_angle_beta 110.44
_cell_angle_gamma 90.00
_symmetry_space_group_name_H-M 'P 1'
_symmetry_Int_Tables_number 1
_symmetry_space_group_name_Hall 'P 1'
loop_
_atom_site_label
_atom_site_fract_x
_atom_site_fract_y
_atom_site_fract_z
_atom_site_occupancy
Mg1 0.045 0.086 0.176 1
Mg2 0.045 0.414 0.676 1
Mg3 0.955 0.586 0.324 1
Mg4 0.955 0.914 0.824 1
Co1 0.342 0.623 0.043 1
Co2 0.342 0.877 0.543 1
Co3 0.658 0.123 0.457 1
Co4 0.658 0.377 0.957 1
Bi1 0.472 0.105 0.843 1
Bi2 0.472 0.395 0.343 1
Bi3 0.528 0.605 0.657 1
Bi4 0.528 0.895 0.157 1
O1 0.193 0.716 0.493 1
O2 0.193 0.784 0.993 1
O3 0.200 0.536 0.183 1
O4 0.200 0.964 0.683 1
O5 0.254 0.042 0.006 1
O6 0.254 0.458 0.506 1
O7 0.321 0.559 0.832 1
O8 0.321 0.941 0.332 1
O9 0.332 0.204 0.324 1
O10 0.332 0.296 0.824 1
O11 0.668 0.704 0.176 1
O12 0.668 0.796 0.676 1
O13 0.679 0.059 0.668 1
O14 0.679 0.441 0.168 1
O15 0.746 0.542 0.494 1
O16 0.746 0.958 0.994 1
O17 0.800 0.036 0.317 1
O18 0.800 0.464 0.817 1
O19 0.807 0.216 0.007 1
O20 0.807 0.284 0.507 1
```

For the polymorph energy (0 for the lowest one), the calculation gives 0.0 meV/atom. As for the crystal system: monoclinic. As for the symmetry: P2_1/c, No. 14. The energy relative to the elements comes out at -1687 meV/atom.

# 2
Crystalline MgCo2Bi2O8 at its relaxed geometry. Source: the Materials Project database, functional PBE with a Hubbard U.

CIF file:
```
data_MgCo2Bi2O8
_cell_length_a 6.338
_cell_length_b 6.338
_cell_length_c 6.338
_cell_angle_alpha 122.88
_cell_angle_beta 117.30
_cell_angle_gamma 89.91
_symmetry_space_group_name_H-M 'P 1'
_symmetry_Int_Tables_number 1
_symmetry_space_group_name_Hall 'P 1'
loop_
_atom_site_label
_atom_site_fract_x
_atom_site_fract_y
_atom_site_fract_z
_atom_site_occupancy
Mg1 0.000 0.000 0.000 1
Co1 0.603 0.359 0.756 1
Co2 0.603 0.847 0.244 1
Bi1 0.114 0.358 0.756 1
Bi2 0.602 0.358 0.244 1
O1 0.365 0.124 0.758 1
O2 0.365 0.607 0.242 1
O3 0.382 0.592 0.790 1
O4 0.393 0.119 0.274 1
O5 0.802 0.592 0.210 1
O6 0.845 0.119 0.726 1
O7 0.854 0.113 0.260 1
O8 0.854 0.594 0.740 1
```

For the polymorph energy (0 for the lowest one), the calculation gives 46.6 meV/atom. As for the crystal system: orthorhombic. As for the symmetry: Imm2, No. 44. The energy relative to the elements comes out at -1492 meV/atom.

# 3
Crystalline NaSrCoBiO6 at its relaxed geometry. Source: the Materials Project database, functional PBE with a Hubbard U.

CIF file:
```
data_NaSrCoBiO6
_cell_length_a 5.760
_cell_length_b 5.760
_cell_length_c 5.760
_cell_angle_alpha 60.00
_cell_angle_beta 60.00
_cell_angle_gamma 60.00
_symmetry_space_group_name_H-M 'P 1'
_symmetry_Int_Tables_number 1
_symmetry_space_group_name_Hall 'P 1'
loop_
_atom_site_label
_atom_site_fract_x
_atom_site_fract_y
_atom_site_fract_z
_atom_site_occupancy
Na1 0.000 0.000 0.000 1
Sr1 0.500 0.500 0.500 1
Co1 0.750 0.750 0.750 1
Bi1 0.250 0.250 0.250 1
O1 0.512 0.512 0.988 1
O2 0.512 0.988 0.512 1
O3 0.512 0.988 0.988 1
O4 0.988 0.512 0.512 1
O5 0.988 0.512 0.988 1
O6 0.988 0.988 0.512 1
```

As for the crystal system: cubic. As for the symmetry: F-43m, No. 216. The energy relative to the elements comes out at -1596 meV/atom.

# 4
Crystalline Co3BiO8 at its relaxed geometry. Source: the Materials Project database, functional PBE with a Hubbard U.

CIF file:
```
data_Co3BiO8
_cell_length_a 6.192
_cell_length_b 6.192
_cell_length_c 6.192
_cell_angle_alpha 54.32
_cell_angle_beta 54.32
_cell_angle_gamma 54.32
_symmetry_space_group_name_H-M 'P 1'
_symmetry_Int_Tables_number 1
_symmetry_space_group_name_Hall 'P 1'
loop_
_atom_site_label
_atom_site_fract_x
_atom_site_fract_y
_atom_site_fract_z
_atom_site_occupancy
Co1 0.000 0.500 0.500 1
Co2 0.500 0.000 0.500 1
Co3 0.500 0.500 0.000 1
Bi1 0.500 0.500 0.500 1
O1 0.244 0.244 0.713 1
O2 0.244 0.713 0.244 1
O3 0.276 0.276 0.276 1
O4 0.287 0.756 0.756 1
O5 0.713 0.244 0.244 1
O6 0.724 0.724 0.724 1
O7 0.756 0.287 0.756 1
O8 0.756 0.756 0.287 1
```

For the polymorph energy (0 for the lowest one), the calculation gives 36.1 meV/atom. As for the crystal system: trigonal. As for the symmetry: R-3m, No. 166. The energy relative to the elements comes out at -1091 meV/atom.

# 5
Crystalline CoBi2O6 at its relaxed geometry. Source: the Materials Project database, functional PBE with a Hubbard U.

CIF file:
```
data_CoBi2O6
_cell_length_a 3.770
_cell_length_b 3.770
_cell_length_c 8.603
_cell_angle_alpha 90.00
_cell_angle_beta 90.00
_cell_angle_gamma 90.00
_symmetry_space_group_name_H-M 'P 1'
_symmetry_Int_Tables_number 1
_symmetry_space_group_name_Hall 'P 1'
loop_
_atom_site_label
_atom_site_fract_x
_atom_site_fract_y
_atom_site_fract_z
_atom_site_occupancy
Co1 0.000 0.000 0.000 1
Bi1 0.500 0.500 0.214 1
Bi2 0.500 0.500 0.656 1
O1 0.000 0.000 0.222 1
O2 0.000 0.000 0.804 1
O3 0.000 0.500 0.045 1
O4 0.000 0.500 0.516 1
O5 0.500 0.000 0.045 1
O6 0.500 0.000 0.516 1
```

As for the crystal system: tetragonal. As for the symmetry: P4mm, No. 99. The energy relative to the elements comes out at -1052 meV/atom.

# 6
Crystalline CoBi2O6 at its relaxed geometry. Source: the Materials Project database, functional PBE with a Hubbard U.

CIF file:
```
data_CoBi2O6
_cell_length_a 6.951
_cell_length_b 6.946
_cell_length_c 9.958
_cell_angle_alpha 90.00
_cell_angle_beta 90.00
_cell_angle_gamma 89.99
_symmetry_space_group_name_H-M 'P 1'
_symmetry_Int_Tables_number 1
_symmetry_space_group_name_Hall 'P 1'
loop_
_atom_site_label
_atom_site_fract_x
_atom_site_fract_y
_atom_site_fract_z
_atom_site_occupancy
Co1 0.500 0.500 0.000 1
Co2 0.000 0.500 0.500 1
Co3 0.000 0.000 0.000 1
Co4 0.500 0.000 0.500 1
Bi1 0.500 0.500 0.333 1
Bi2 0.000 0.000 0.333 1
Bi3 0.000 0.000 0.667 1
Bi4 0.500 0.500 0.667 1
Bi5 0.500 0.000 0.167 1
Bi6 0.000 0.500 0.167 1
Bi7 0.500 0.000 0.833 1
Bi8 0.000 0.500 0.833 1
O1 0.500 0.298 0.500 1
O2 0.000 0.798 0.500 1
O3 0.298 0.000 0.000 1
O4 0.798 0.500 0.000 1
O5 0.702 0.000 0.000 1
O6 0.202 0.500 0.000 1
O7 0.500 0.702 0.500 1
O8 0.000 0.202 0.500 1
O9 0.500 0.311 0.161 1
O10 0.000 0.811 0.161 1
O11 0.500 0.311 0.839 1
O12 0.000 0.811 0.839 1
O13 0.311 0.000 0.338 1
O14 0.811 0.500 0.338 1
O15 0.311 0.000 0.662 1
O16 0.811 0.500 0.662 1
O17 0.689 0.000 0.338 1
O18 0.189 0.500 0.338 1
O19 0.689 0.000 0.662 1
O20 0.189 0.500 0.662 1
O21 0.500 0.689 0.161 1
O22 0.000 0.189 0.161 1
O23 0.500 0.689 0.839 1
O24 0.000 0.189 0.839 1
```

The energy relative to the elements comes out at -1321 meV/atom.